In3H11C6O19 (GGA-PBE, optimized geometry); formation energy = -55.45 eV per formula unit; V = 11.11 Å³/atom
1.0
-6.516 -0.376 -4.986
-3.940 5.126 9.328
7.535 6.191 -5.796
O C H In
38 12 22 6
Cartesian
-4.595 6.868 3.729 O
0.977 5.793 -1.415 O
-7.129 5.207 3.477 O
5.125 7.665 -2.291 O
2.132 3.000 -2.599 O
-2.319 4.373 -5.998 O
-5.702 1.922 -2.303 O
1.303 5.877 -6.730 O
0.270 8.388 -1.018 O
-3.166 5.317 6.127 O
-2.421 5.911 1.236 O
-4.793 5.410 -0.699 O
2.518 6.441 -2.898 O
-0.830 4.231 3.774 O
-2.063 6.502 -1.894 O
4.300 6.171 -4.868 O
-5.580 -0.154 -4.153 O
1.540 3.791 -5.894 O
-4.529 4.982 7.933 O
2.779 8.699 1.198 O
-2.222 2.468 0.514 O
-0.841 2.258 -2.471 O
-5.353 2.418 0.504 O
-8.688 2.910 0.943 O
-3.043 5.935 -4.571 O
-3.471 4.191 2.206 O
-0.970 4.166 -0.281 O
-3.669 2.476 -4.593 O
-1.685 8.546 0.746 O
1.789 8.461 3.780 O
-0.124 6.581 -4.519 O
-4.185 4.020 -3.030 O
-0.111 4.459 -3.836 O
-5.543 8.486 0.858 O
-5.821 5.802 1.244 O
0.407 6.626 1.609 O
-1.639 6.286 4.143 O
2.002 9.046 -2.307 O
-3.651 3.649 -4.121 C
-2.362 4.488 5.611 C
-5.260 6.197 0.182 C
-1.543 5.055 4.415 C
1.618 6.690 -2.043 C
0.228 5.365 -4.643 C
-1.878 3.687 0.460 C
1.271 8.168 -1.760 C
-2.945 4.735 -4.956 C
-2.646 4.673 1.371 C
1.105 4.979 -5.856 C
-5.161 7.719 -0.072 C
-4.971 1.360 -1.968 H
-1.489 6.428 -2.686 H
-4.181 6.146 3.213 H
5.060 6.293 -5.470 H
3.655 8.665 0.753 H
-0.800 1.364 -2.000 H
2.781 9.594 1.662 H
-5.214 3.344 0.208 H
-5.771 0.709 -3.708 H
1.817 3.875 -2.283 H
-3.183 0.336 -2.217 H
4.819 6.830 -1.877 H
-0.869 9.073 0.632 H
-6.471 4.466 3.490 H
-2.266 10.473 0.018 H
-3.801 5.070 8.621 H
-1.876 8.537 1.725 H
-5.250 2.802 -2.507 H
-0.777 2.956 -1.773 H
4.508 5.374 -4.311 H
-7.714 5.111 4.262 H
-0.191 6.426 2.360 H
-2.546 2.169 -6.556 In
0.366 7.938 -6.238 In
0.716 2.399 -4.099 In
-4.098 6.421 -2.627 In
-0.791 6.520 -0.178 In
-3.882 1.955 2.004 In

SmNi4B (GGA-PBE, optimized geometry); formation energy = -2.71 eV per formula unit; V = 13.01 Å³/atom
1.0
3.926 0.844 -3.076
0.733 -0.380 4.991
0.968 -6.942 -0.671
Ni B Sm
8 2 2
Cartesian
1.797 0.028 2.301 Ni
2.862 0.436 -0.386 Ni
4.976 -4.248 -1.054 Ni
4.577 -1.386 -0.778 Ni
2.614 -1.808 0.760 Ni
2.646 -4.480 -2.012 Ni
2.247 -1.618 -1.735 Ni
3.013 -4.670 0.484 Ni
2.282 -3.443 1.968 B
3.345 -3.035 -0.723 B
3.926 0.844 -3.076 Sm
4.410 -2.627 -3.411 Sm

K2CuP (GGA-PBE, optimized geometry); formation energy = -1.31 eV per formula unit; V = 26.63 Å³/atom
1.0
3.716 -4.954 0.000
3.716 4.954 0.000
0.000 0.000 5.786
K P Cu
4 2 2
Cartesian
2.641 3.277 1.446 K
2.641 -3.277 1.446 K
4.790 3.277 4.339 K
4.790 -3.277 4.339 K
1.991 0.000 1.446 P
5.441 0.000 4.339 P
3.716 0.000 0.000 Cu
3.716 0.000 2.893 Cu

SrEuTiInO6 (GGA-PBE, optimized geometry); formation energy = -29.16 eV per formula unit; V = 13.46 Å³/atom
1.0
-4.243 3.771 -0.929
-5.444 -1.825 -0.348
-3.722 1.236 4.208
Eu Sr O Ti In
1 1 6 1 1
Cartesian
-3.352 0.795 0.733 Eu
-10.057 2.386 2.198 Sr
-5.275 1.420 2.779 O
-7.309 3.227 2.334 O
-5.525 2.635 0.318 O
-6.100 -0.046 0.596 O
-8.134 1.761 0.151 O
-7.884 0.546 2.613 O
-6.705 1.591 1.465 Ti
0.000 0.000 0.000 In

BaMgSi (GGA-PBE, optimized geometry); formation energy = -0.94 eV per formula unit; V = 28.38 Å³/atom
1.0
4.790 0.000 0.000
0.000 8.182 0.000
0.000 0.000 8.689
Si Ba Mg
4 4 4
Cartesian
1.197 6.511 5.275 Si
1.197 2.420 7.758 Si
3.592 1.672 3.414 Si
3.592 5.763 0.930 Si
3.592 3.972 5.921 Ba
1.197 4.211 2.768 Ba
1.197 0.120 1.577 Ba
3.592 8.063 7.112 Ba
1.197 5.232 8.140 Mg
3.592 7.041 3.795 Mg
1.197 1.141 4.893 Mg
3.592 2.950 0.549 Mg

CsMgSbP2O8 (GGA-PBE, optimized geometry); formation energy = -33.04 eV per formula unit; V = 18.01 Å³/atom
1.0
5.378 0.000 0.000
-2.689 4.656 0.001
0.000 0.002 9.352
O Sb Mg Cs P
8 1 1 1 2
Cartesian
-0.004 3.109 8.108 O
0.844 1.916 6.007 O
2.681 1.558 1.220 O
-1.458 2.969 6.003 O
0.606 4.437 6.004 O
1.748 0.470 3.389 O
4.098 1.276 3.379 O
2.224 2.905 3.397 O
5.377 0.003 4.463 Sb
2.685 1.557 5.536 Mg
5.376 0.005 9.253 Cs
2.688 1.552 2.708 P
-0.003 3.108 6.605 P

TaSnRu2 (GGA-PBE, optimized geometry); formation energy = -1.05 eV per formula unit; V = 16.28 Å³/atom
1.0
-0.150 1.859 4.113
-0.992 4.381 0.463
-3.963 1.242 1.773
Ta Sn Ru
1 1 2
Cartesian
0.000 0.000 0.000 Ta
-2.552 3.741 3.175 Sn
-3.829 5.612 4.762 Ru
-1.276 1.871 1.587 Ru

CsSr3 (GGA-PBE, optimized geometry); ΔE to the lowest computed polymorph = 0.96 kJ per mole of atoms; formation energy = 0.70 eV per formula unit; V = 62.44 Å³/atom
1.0
0.000 4.998 4.998
4.998 0.000 4.998
4.998 4.998 0.000
Sr Cs
3 1
Cartesian
4.998 4.998 4.998 Sr
7.498 7.498 7.498 Sr
2.499 2.499 2.499 Sr
0.000 0.000 0.000 Cs

RbHfMg6 (GGA-PBE, optimized geometry); ΔE to the lowest computed polymorph = 0.00 kJ per mole of atoms; formation energy = 2.43 eV per formula unit; V = 26.98 Å³/atom
1.0
-3.527 -1.046 2.775
5.250 -7.043 4.020
3.341 6.262 6.607
Mg Rb Hf
12 2 2
Cartesian
2.162 2.473 3.680 Mg
7.008 -1.683 8.274 Mg
2.370 -3.316 5.590 Mg
4.595 2.235 6.683 Mg
3.116 -4.180 2.386 Mg
-0.296 0.129 3.498 Mg
5.549 -4.417 5.390 Mg
2.713 -1.293 2.961 Mg
4.000 -0.261 8.812 Mg
0.826 -1.108 0.632 Mg
1.416 3.337 6.883 Mg
5.122 -1.498 5.946 Mg
2.804 -6.650 4.885 Rb
1.850 0.003 6.178 Rb
0.205 -3.164 2.895 Hf
4.501 -3.555 8.209 Hf

Cs3Ge (GGA-PBE, optimized geometry); formation energy = 0.88 eV per formula unit; V = 59.08 Å³/atom
1.0
4.702 -8.145 0.000
4.702 8.145 0.000
0.000 0.000 6.171
Cs Ge
6 2
Cartesian
4.702 -5.068 4.628 Cs
2.664 1.538 1.543 Cs
6.740 1.538 1.543 Cs
4.702 5.068 1.543 Cs
2.664 -1.538 4.628 Cs
6.740 -1.538 4.628 Cs
4.702 2.715 4.628 Ge
4.702 -2.715 1.543 Ge

U3Cu2Sb3 (GGA-PBE, optimized geometry); formation energy = -1.58 eV per formula unit; V = 23.68 Å³/atom
1.0
2.202 -3.814 0.000
2.202 3.814 0.000
0.000 0.000 22.556
Sb U Cu
6 6 4
Cartesian
2.202 1.271 14.880 Sb
0.000 0.000 11.278 Sb
0.000 0.000 0.000 Sb
2.202 -1.271 7.676 Sb
2.202 -1.271 3.602 Sb
2.202 1.271 18.954 Sb
2.202 1.271 5.639 U
2.202 -1.271 13.048 U
2.202 1.271 9.508 U
2.202 -1.271 16.917 U
2.202 -1.271 20.786 U
2.202 1.271 1.770 U
0.000 0.000 18.326 Cu
0.000 0.000 4.229 Cu
0.000 0.000 7.048 Cu
0.000 0.000 15.507 Cu

NaCdCuSe2 (GGA-PBE, optimized geometry); formation energy = -2.59 eV per formula unit; V = 26.46 Å³/atom
1.0
3.744 0.000 0.000
0.000 8.030 0.000
0.000 0.000 17.599
Na Se Cu Cd
4 8 4 4
Cartesian
0.936 1.158 16.265 Na
2.808 6.872 1.334 Na
2.808 2.857 7.465 Na
0.936 5.173 10.134 Na
0.936 4.636 2.036 Se
0.936 5.238 7.051 Se
2.808 3.394 15.563 Se
0.936 0.621 6.764 Se
0.936 1.222 1.749 Se
2.808 6.808 15.850 Se
2.808 2.793 10.548 Se
2.808 7.410 10.835 Se
2.808 2.952 1.888 Cu
0.936 5.078 15.711 Cu
2.808 6.968 6.912 Cu
0.936 1.063 10.687 Cu
2.808 3.068 13.067 Cd
0.936 4.962 4.532 Cd
2.808 7.084 13.332 Cd
0.936 0.947 4.267 Cd

Cu4H18C6S3I4 (GGA-PBE, optimized geometry); formation energy = -9.42 eV per formula unit; V = 15.72 Å³/atom
1.0
6.625 -14.960 0.000
6.625 14.960 0.000
0.000 0.000 11.100
C Cu H I S
24 16 72 16 12
Cartesian
5.257 0.250 7.569 C
8.002 10.153 2.490 C
8.002 -4.806 3.060 C
8.002 -10.153 8.610 C
9.283 8.514 9.523 C
1.368 0.250 9.081 C
3.968 6.445 3.973 C
9.283 -6.445 7.127 C
5.249 -10.153 8.610 C
9.283 -8.514 1.577 C
9.283 6.445 3.973 C
5.257 -0.250 3.531 C
1.368 -0.250 2.019 C
7.993 -0.250 3.531 C
3.968 8.514 9.523 C
3.968 -6.445 7.127 C
11.883 -0.250 2.019 C
7.993 0.250 7.569 C
5.249 -4.806 3.060 C
5.249 4.806 8.040 C
8.002 4.806 8.040 C
5.249 10.153 2.490 C
11.883 0.250 9.081 C
3.968 -8.514 1.577 C
6.625 12.929 7.113 Cu
6.625 12.684 4.244 Cu
8.011 -4.324 9.280 Cu
8.011 4.324 1.820 Cu
8.011 10.636 7.370 Cu
6.625 2.276 9.794 Cu
5.240 4.324 1.820 Cu
6.625 -2.030 9.537 Cu
5.240 10.636 7.370 Cu
5.240 -4.324 9.280 Cu
5.240 -10.636 3.730 Cu
8.011 -10.636 3.730 Cu
6.625 2.030 1.563 Cu
6.625 -12.684 6.856 Cu
6.625 -12.929 3.987 Cu
6.625 -2.276 1.306 Cu
3.174 7.150 4.236 H
9.799 7.150 1.314 H
4.339 -0.270 2.943 H
7.826 9.380 1.736 H
4.276 -9.083 0.699 H
8.905 -4.244 3.314 H
11.900 -0.640 9.718 H
7.975 -0.640 6.932 H
11.974 1.165 9.672 H
5.425 -5.580 3.814 H
8.975 -5.877 6.249 H
8.418 -8.008 2.017 H
8.975 5.877 4.851 H
8.975 -9.083 0.699 H
4.832 8.008 9.083 H
2.286 -0.270 2.607 H
4.276 -5.877 6.249 H
10.077 -7.150 6.864 H
5.162 -9.711 7.612 H
1.276 1.165 9.672 H
10.964 -0.270 2.607 H
8.418 -6.952 7.567 H
3.452 7.150 1.314 H
8.905 4.244 7.786 H
5.425 5.580 7.286 H
1.276 -1.165 1.428 H
7.901 -1.165 4.122 H
11.900 0.640 1.382 H
8.089 -5.248 2.062 H
4.346 4.244 7.786 H
10.964 0.270 8.493 H
5.162 5.248 9.039 H
8.089 5.248 9.039 H
5.275 -0.640 6.932 H
8.418 8.008 9.083 H
5.425 -9.380 9.364 H
5.162 -5.248 2.062 H
11.974 -1.165 1.428 H
4.276 5.877 4.851 H
9.799 -7.150 9.786 H
4.346 -4.244 3.314 H
8.418 6.952 3.533 H
10.077 7.150 4.236 H
7.901 1.165 6.978 H
8.912 -0.270 2.943 H
8.089 -9.711 7.612 H
5.162 9.711 3.489 H
4.276 9.083 10.401 H
5.349 -1.165 4.122 H
4.339 0.270 8.157 H
4.832 -8.008 2.017 H
2.279 4.244 8.864 H
3.174 -7.150 6.864 H
4.832 6.952 3.533 H
2.279 -4.244 2.236 H
10.971 4.244 8.864 H
2.286 0.270 8.493 H
8.975 9.083 10.401 H
1.350 -0.640 9.718 H
8.089 9.711 3.489 H
5.425 9.380 1.736 H
5.275 0.640 4.168 H
5.349 1.165 6.978 H
1.350 0.640 1.382 H
7.826 -5.580 3.814 H
3.452 -7.150 9.786 H
4.832 -6.952 7.567 H
10.971 -4.244 2.236 H
7.826 5.580 7.286 H
7.826 -9.380 9.364 H
8.912 0.270 8.157 H
7.975 0.640 4.168 H
4.422 -2.460 10.977 I
6.625 3.395 3.913 I
6.625 8.691 6.230 I
6.625 6.269 0.680 I
4.422 2.460 0.123 I
2.203 2.460 5.427 I
6.625 -8.691 4.870 I
11.047 -2.460 5.673 I
6.625 -11.565 1.637 I
8.828 2.460 0.123 I
6.625 11.565 9.463 I
6.625 -3.395 7.187 I
2.203 -2.460 5.673 I
6.625 -6.269 10.420 I
11.047 2.460 5.427 I
8.828 -2.460 10.977 I
6.625 -11.319 8.677 S
9.938 -5.258 8.325 S
9.938 5.258 2.775 S
6.625 0.159 8.750 S
3.313 5.258 2.775 S
6.625 11.319 2.423 S
6.625 14.801 3.200 S
3.313 -5.258 8.325 S
6.625 -3.641 3.127 S
6.625 -14.801 7.900 S
6.625 3.641 7.973 S
6.625 -0.159 2.350 S